Density functional theory data (GGA+U) for a geometry-optimized MgV8O8F8 structure.

Properties
Energy, eV/atom: -6.97
Excess energy over the best structure of this formula in the dataset, eV per atom: 0.000
ΔE_f, eV per atom: -2.710
Total magnetic moment, μB per cell: 18.00
MP2020-corrected energy, eV per atom: -7.88

Cell and atoms, written as POSCAR:
```
MgV8O8F8
1.0
1.185 4.314 1.928
6.945 -4.781 6.240
4.384 0.347 -3.652
V F O Mg
8 8 8 1
direct
0.992 0.247 0.195 V
0.483 0.275 0.724 V
0.013 0.002 0.043 V
0.516 0.731 0.267 V
0.977 0.486 0.494 V
0.510 0.978 0.520 V
0.481 0.519 0.989 V
0.009 0.762 0.750 V
0.811 0.823 0.044 F
0.819 0.574 0.777 F
0.327 0.913 0.226 F
0.674 0.078 0.807 F
0.181 0.426 0.206 F
0.186 0.669 0.472 F
0.331 0.178 0.440 F
0.665 0.335 0.016 F
0.312 0.436 0.709 O
0.689 0.802 0.535 O
0.697 0.558 0.272 O
0.842 0.068 0.316 O
0.182 0.174 0.915 O
0.305 0.682 0.978 O
0.829 0.306 0.530 O
0.152 0.937 0.729 O
0.000 0.121 0.616 Mg
```